(1)
The following is a DFT calculation (GGA-PBE) of a geometry-optimized NbRu3 structure.

a = 5.6041 Å, b = 5.6041 Å, c = 4.3904 Å
α = 90.00°, β = 90.00°, γ = 120.00°
Sites, in units of the cell vectors:
Nb 0.6667 0.3333 0.2500
Nb 0.3333 0.6667 0.7500
Ru 0.8340 0.1660 0.7500
Ru 0.3320 0.1660 0.7500
Ru 0.8340 0.6680 0.7500
Ru 0.1660 0.8340 0.2500
Ru 0.6680 0.8340 0.2500
Ru 0.1660 0.3320 0.2500

Calculated values
- final energy (eV per atom) = -9.6022
- energy of formation (eV/atom) = -0.1211
- space group = P6_3/mmc (194)

***

(2)
The following is a DFT calculation (GGA-PBE) of a geometry-optimized Ca2Mg structure.

a = 9.6355 Å, b = 9.6355 Å, c = 6.0107 Å
α = 90.00°, β = 90.00°, γ = 157.40°
Sites, in units of the cell vectors:
Ca 0.6247 0.3753 0.2500
Ca 0.9379 0.0621 0.2500
Ca 0.0621 0.9379 0.7500
Ca 0.3753 0.6247 0.7500
Mg 0.2784 0.7216 0.2500
Mg 0.7216 0.2784 0.7500

Calculated values
- spin magnetization (μB per formula unit) = 0.00
- final energy (eV per atom) = -1.8346
- energy of formation (eV/atom) = 0.0359
- space group = Cmcm (63)

***

(3)
The following is a DFT calculation (GGA-PBE) of a geometry-optimized Pr4In21Pd10 structure.

a = 11.9804 Å, b = 11.9804 Å, c = 17.5291 Å
α = 56.24°, β = 56.24°, γ = 21.93°
Sites, in units of the cell vectors:
Pr 0.7710 0.7710 0.3247
Pr 0.8779 0.8779 0.8330
Pr 0.1221 0.1221 0.1670
Pr 0.2290 0.2290 0.6753
In 0.0095 0.0095 0.4075
In 0.6156 0.6156 0.7961
In 0.7995 0.7995 0.5035
In 0.5426 0.5426 0.1316
In 0.6014 0.6014 0.5033
In 0.2996 0.2996 0.0005
In 0.9357 0.9357 0.2975
In 0.2527 0.2527 0.2037
In 0.2005 0.2005 0.4965
In 0.8860 0.8860 0.0489
In 0.0643 0.0643 0.7025
In 0.1140 0.1140 0.9511
In 0.6308 0.6308 0.3007
In 0.3692 0.3692 0.6993
In 0.5000 0.5000 0.0000
In 0.7473 0.7473 0.7963
In 0.3844 0.3844 0.2039
In 0.9905 0.9905 0.5925
In 0.7004 0.7004 0.9995
In 0.4574 0.4574 0.8684
In 0.3986 0.3986 0.4967
Pd 0.2499 0.2499 0.8852
Pd 0.6539 0.6539 0.6133
Pd 0.1373 0.1373 0.3924
Pd 0.7501 0.7501 0.1148
Pd 0.3461 0.3461 0.3867
Pd 0.8627 0.8627 0.6076
Pd 0.4947 0.4947 0.6884
Pd 0.9744 0.9744 0.1125
Pd 0.5053 0.5053 0.3116
Pd 0.0256 0.0256 0.8875

Calculated values
- spin magnetization (μB per formula unit) = 0.00
- final energy (eV per atom) = -4.2104
- energy of formation (eV/atom) = -0.5330
- space group = C2/m (12)

***

(4)
The following is a DFT calculation (GGA-PBE) of a geometry-optimized Hf5GaSn3 structure.

a = 8.6615 Å, b = 8.6615 Å, c = 5.8294 Å
α = 90.00°, β = 90.00°, γ = 120.00°
Sites, in units of the cell vectors:
Hf 0.7323 0.7323 0.7500
Hf 0.2677 0.0000 0.7500
Hf 0.0000 0.2677 0.7500
Hf 0.2677 0.2677 0.2500
Hf 0.7323 0.0000 0.2500
Hf 0.0000 0.7323 0.2500
Hf 0.6667 0.3333 0.0000
Hf 0.3333 0.6667 0.0000
Hf 0.3333 0.6667 0.5000
Hf 0.6667 0.3333 0.5000
Ga 0.0000 0.0000 0.0000
Ga 0.0000 0.0000 0.5000
Sn 0.3887 0.3887 0.7500
Sn 0.6113 0.0000 0.7500
Sn 0.0000 0.6113 0.7500
Sn 0.6113 0.6113 0.2500
Sn 0.3887 0.0000 0.2500
Sn 0.0000 0.3887 0.2500

Calculated values
- final energy (eV per atom) = -7.6807
- energy of formation (eV/atom) = -0.4760
- space group = P6_3/mcm (193)

***

Computed calculated volume (Å³/cell) in order:
119.4 214.5 774.5 378.7
Computed theoretical density (g/cm³) in order:
11.02 1.62 8.66 11.56